Record 1
Here is a relaxed ZrBi crystal from the Materials Project database. Energies are from meta-GGA r2SCAN.

The structure in POSCAR format:
```
ZrBi
1.0
1.9466 -5.4196 0.0000
1.9466 5.4196 0.0000
0.0000 0.0000 14.4580
Zr Bi
6 6
Direct
0.0714 0.9286 0.6093
0.0714 0.9286 0.8907
0.3883 0.6117 0.7500
0.6117 0.3883 0.2500
0.9286 0.0714 0.1093
0.9286 0.0714 0.3907
0.3250 0.6750 0.2500
0.3591 0.6409 0.5498
0.3591 0.6409 0.9502
0.6409 0.3591 0.0498
0.6409 0.3591 0.4502
0.6750 0.3250 0.7500
```

Total magnetization (μB/cell): 0.009
Calculated formation energy (meV/atom): -462.0
Space group: No. 63

=====

Record 2
Here is a relaxed Sm3Cu3Sb4 crystal from the Materials Project database. Energies are from meta-GGA r2SCAN.

The structure in POSCAR format:
```
Sm3Cu3Sb4
1.0
-4.8317 4.8317 4.8317
4.8317 -4.8317 4.8317
4.8317 4.8317 -4.8317
Sm Cu Sb
6 6 8
Direct
0.1250 0.8750 0.2500
0.2500 0.1250 0.8750
0.3750 0.6250 0.7500
0.6250 0.7500 0.3750
0.7500 0.3750 0.6250
0.8750 0.2500 0.1250
0.1250 0.7500 0.8750
0.2500 0.6250 0.3750
0.3750 0.2500 0.6250
0.6250 0.3750 0.2500
0.7500 0.8750 0.1250
0.8750 0.1250 0.7500
0.0000 0.1582 0.5000
0.0000 0.6582 0.5000
0.1582 0.5000 0.0000
0.3418 0.3418 0.3418
0.5000 0.0000 0.1582
0.5000 0.0000 0.6582
0.6582 0.5000 0.0000
0.8418 0.8418 0.8418
```

Total magnetization (μB/cell): 0.000
Calculated formation energy (meV/atom): -870.0
Space group: No. 220

=====

Record 3
Here is a relaxed MnRh crystal from the Materials Project database. Energies are from meta-GGA r2SCAN.

The structure in POSCAR format:
```
MnRh
1.0
3.0275 0.0000 0.0000
0.0000 3.0275 0.0000
0.0000 0.0000 3.0275
Mn Rh
1 1
Direct
0.0000 0.0000 0.0000
0.5000 0.5000 0.5000
```

Total magnetization (μB/cell): 4.188
Calculated formation energy (meV/atom): -495.8
Space group: No. 221

=====

Record 4
Here is a relaxed LaGa2Pd2 crystal from the Materials Project database. Energies are from meta-GGA r2SCAN.

The structure in POSCAR format:
```
LaGa2Pd2
1.0
4.4222 0.0000 0.0000
0.0000 4.4222 0.0000
0.0000 0.0000 10.0246
La Ga Pd
2 4 4
Direct
0.2500 0.2500 0.2492
0.7500 0.7500 0.7508
0.2500 0.2500 0.6238
0.2500 0.7500 0.0000
0.7500 0.2500 0.0000
0.7500 0.7500 0.3762
0.2500 0.2500 0.8720
0.2500 0.7500 0.5000
0.7500 0.2500 0.5000
0.7500 0.7500 0.1280
```

Total magnetization (μB/cell): 0.000
Calculated formation energy (meV/atom): -877.3
Space group: No. 129

=====

Record 5
Here is a relaxed TiAu4 crystal from the Materials Project database. Energies are from meta-GGA r2SCAN.

The structure in POSCAR format:
```
TiAu4
1.0
-3.2748 3.2748 1.9818
3.2748 -3.2748 1.9818
3.2748 3.2748 -1.9818
Ti Au
1 4
Direct
0.0000 0.0000 0.0000
0.2071 0.3951 0.6023
0.3951 0.7929 0.1880
0.6049 0.2071 0.8120
0.7929 0.6049 0.3977
```

Total magnetization (μB/cell): 0.185
Calculated formation energy (meV/atom): -311.2
Space group: No. 87

=====

Record 6
Here is a relaxed Ca2Ag7 crystal from the Materials Project database. Energies are from meta-GGA r2SCAN.

The structure in POSCAR format:
```
Ca2Ag7
1.0
4.7351 -2.7654 0.0000
4.7351 2.7654 0.0000
0.0000 0.0000 14.0900
Ca Ag
4 14
Direct
0.1774 0.8226 0.6142
0.1774 0.8226 0.8858
0.8226 0.1774 0.1142
0.8226 0.1774 0.3858
0.1648 0.5059 0.0761
0.1648 0.5059 0.4239
0.1709 0.3267 0.7500
0.3267 0.1709 0.2500
0.3288 0.6712 0.2500
0.4941 0.8352 0.0761
0.4941 0.8352 0.4239
0.5059 0.1648 0.5761
0.5059 0.1648 0.9239
0.6712 0.3288 0.7500
0.6733 0.8291 0.7500
0.8291 0.6733 0.2500
0.8352 0.4941 0.5761
0.8352 0.4941 0.9239
```

Total magnetization (μB/cell): 0.000
Calculated formation energy (meV/atom): -220.8
Space group: No. 63

=====

Record 7
Here is a relaxed Bi2TeO6 crystal from the Materials Project database. Energies are from meta-GGA r2SCAN.

The structure in POSCAR format:
```
Bi2TeO6
1.0
2.6861 -8.3070 0.0000
2.6861 8.3070 0.0000
0.0000 0.0000 5.3831
Bi Te O
4 2 12
Direct
0.1726 0.8274 0.9886
0.3274 0.6726 0.4886
0.6726 0.3274 0.5114
0.8274 0.1726 0.0114
0.0000 0.0000 0.5000
0.5000 0.5000 0.0000
0.0011 0.4989 0.2500
0.1096 0.8904 0.5777
0.2219 0.2781 0.7500
0.2781 0.2219 0.2500
0.3904 0.6096 0.0777
0.4989 0.0011 0.7500
0.5011 0.9989 0.2500
0.6096 0.3904 0.9223
0.7219 0.7781 0.7500
0.7781 0.7219 0.2500
0.8904 0.1096 0.4223
0.9989 0.5011 0.7500
```

Total magnetization (μB/cell): 0.000
Calculated formation energy (meV/atom): -1305.8
Space group: No. 64

=====

Record 8
Here is a relaxed LaMgMnCrO6 crystal from the Materials Project database. Energies are from meta-GGA r2SCAN.

The structure in POSCAR format:
```
LaMgMnCrO6
1.0
5.2597 0.0000 0.0000
0.0000 5.3913 0.0000
-5.2306 0.0000 7.4932
La Mg Mn Cr O
2 2 2 2 12
Direct
0.0000 0.2223 0.0000
0.0000 0.7777 0.5000
0.5351 0.3084 0.4988
0.5351 0.6916 0.9988
0.7583 0.2508 0.2515
0.7583 0.7492 0.7515
0.2566 0.2473 0.7483
0.2566 0.7527 0.2483
0.1270 0.2354 0.4950
0.1270 0.7646 0.9950
0.4384 0.2925 0.0051
0.4384 0.7075 0.5051
0.5147 0.0524 0.3063
0.5147 0.9476 0.8063
0.5788 0.4901 0.8048
0.5788 0.5099 0.3048
0.8916 0.0425 0.6941
0.8916 0.9575 0.1941
0.9652 0.4845 0.1994
0.9652 0.5155 0.6994
```

Total magnetization (μB/cell): 12.000
Calculated formation energy (meV/atom): -2756.7
Space group: No. 7

=====

Q: Among the records above, which one has the lowest calculated formation energy?
A: LaMgMnCrO6

=====

Please write out number 2 again, unchanged.
Here is a relaxed Sm3Cu3Sb4 crystal from the Materials Project database. Energies are from meta-GGA r2SCAN.

The structure in POSCAR format:
```
Sm3Cu3Sb4
1.0
-4.8317 4.8317 4.8317
4.8317 -4.8317 4.8317
4.8317 4.8317 -4.8317
Sm Cu Sb
6 6 8
Direct
0.1250 0.8750 0.2500
0.2500 0.1250 0.8750
0.3750 0.6250 0.7500
0.6250 0.7500 0.3750
0.7500 0.3750 0.6250
0.8750 0.2500 0.1250
0.1250 0.7500 0.8750
0.2500 0.6250 0.3750
0.3750 0.2500 0.6250
0.6250 0.3750 0.2500
0.7500 0.8750 0.1250
0.8750 0.1250 0.7500
0.0000 0.1582 0.5000
0.0000 0.6582 0.5000
0.1582 0.5000 0.0000
0.3418 0.3418 0.3418
0.5000 0.0000 0.1582
0.5000 0.0000 0.6582
0.6582 0.5000 0.0000
0.8418 0.8418 0.8418
```

Total magnetization (μB/cell): 0.000
Calculated formation energy (meV/atom): -870.0
Space group: No. 220

=====

Q: Which value of calculated formation energy does entry 4 give?
A: -877.3 meV/atom